The following is a PBE with a Hubbard U calculation of crystalline Li3Mn4P8O28 at its relaxed geometry, from the Materials Project database.

Cell lengths 9.6306, 9.7175, 11.0203 Å; angles 79.25, 89.78, 89.67 degrees
Positions (direct):
Li  0.0000  0.0000  0.0000
Li  0.0109  0.5707  0.9766
Li  0.1884  0.3192  0.4189
Li  0.5128  0.2405  0.9385
Li  0.5656  0.7620  0.4547
Li  0.8917  0.2651  0.5001
Mn  0.0351  0.8433  0.2970
Mn  0.1825  0.4585  0.6340
Mn  0.3337  0.9334  0.1174
Mn  0.3800  0.4306  0.1195
Mn  0.5381  0.9549  0.6303
Mn  0.6729  0.3450  0.2889
Mn  0.8307  0.8692  0.7949
Mn  0.8844  0.3788  0.7925
P  0.0280  0.7279  0.7081
P  0.0532  0.1284  0.7099
P  0.1668  0.1806  0.2026
P  0.1758  0.5836  0.1998
P  0.2573  0.7785  0.5349
P  0.3262  0.0384  0.8316
P  0.3920  0.5436  0.8389
P  0.4612  0.2773  0.5343
P  0.5343  0.0794  0.2031
P  0.5390  0.6803  0.1994
P  0.6592  0.6305  0.6992
P  0.6827  0.2216  0.7175
P  0.7609  0.0204  0.3841
P  0.8184  0.7650  0.0819
P  0.8945  0.2704  0.0764
P  0.9504  0.5256  0.3806
O  0.0071  0.7384  0.8440
O  0.0199  0.2611  0.1741
O  0.0222  0.1349  0.5771
O  0.0308  0.5744  0.6870
O  0.0320  0.5168  0.2546
O  0.0398  0.4358  0.4841
O  0.0626  0.2821  0.7453
O  0.1549  0.0312  0.1634
O  0.1714  0.7962  0.6576
O  0.1752  0.8548  0.4245
O  0.1803  0.7341  0.2285
O  0.1854  0.5725  0.0655
O  0.1925  0.1734  0.3357
O  0.2028  0.0560  0.7326
O  0.2648  0.9491  0.9520
O  0.2682  0.6183  0.5384
O  0.2706  0.2660  0.1104
O  0.2765  0.4619  0.7783
O  0.2894  0.4816  0.2662
O  0.3149  0.3359  0.5521
O  0.3530  0.6818  0.8636
O  0.3740  0.1794  0.8446
O  0.4030  0.8362  0.5501
O  0.4182  0.9794  0.2655
O  0.4355  0.9493  0.7737
O  0.4404  0.7704  0.1054
O  0.4435  0.4328  0.9538
O  0.4529  0.1179  0.5378
O  0.5086  0.6735  0.3314
O  0.5156  0.5517  0.7405
O  0.5200  0.0740  0.0672
O  0.5282  0.2304  0.2308
O  0.5373  0.3562  0.4212
O  0.5467  0.2970  0.6543
O  0.5483  0.5310  0.1610
O  0.6509  0.7838  0.7354
O  0.6691  0.9372  0.4869
O  0.6720  0.6363  0.5647
O  0.6798  0.0150  0.2563
O  0.6863  0.0693  0.6930
O  0.6894  0.7545  0.1741
O  0.6900  0.2420  0.8490
O  0.7698  0.5475  0.7842
O  0.7727  0.1753  0.3943
O  0.7740  0.3342  0.1416
O  0.7796  0.8700  0.9609
O  0.8060  0.3104  0.6515
O  0.8113  0.4555  0.3673
O  0.8569  0.6224  0.0623
O  0.8733  0.1305  0.0452
O  0.9043  0.9598  0.3658
O  0.9090  0.8225  0.6447
O  0.9328  0.8434  0.1444
O  0.9396  0.6796  0.3907
O  0.9407  0.3823  0.9597
O  0.9566  0.0408  0.8070

Values from the calculation:
**Energy of formation from the pure elements**: -104.881 eV/f.u.
**Raw total energy**: -7.051 eV/atom
**Energy relative to the lowest polymorph listed for this composition**: 11 meV per atom